Entry from the Materials Project database: a geometry-optimized Re3Te7I7 structure (PBE-GGA).

Lattice parameters (Å, degrees): 11.160 11.237 12.436 86.70 105.01 118.10
Positions (direct):
Re1 0.939 0.118 0.912
Re2 0.061 0.882 0.088
Re3 0.844 0.846 0.908
Re4 0.156 0.154 0.092
Re5 0.114 0.016 0.902
Re6 0.886 0.984 0.098
Te1 0.849 0.288 0.801
Te2 0.151 0.712 0.199
Te3 0.624 0.617 0.797
Te4 0.376 0.383 0.203
Te5 0.292 0.043 0.779
Te6 0.708 0.957 0.221
Te7 0.669 0.948 0.917
Te8 0.331 0.052 0.083
Te9 0.019 0.744 0.897
Te10 0.981 0.256 0.103
Te11 0.897 0.979 0.722
Te12 0.103 0.021 0.278
Te13 0.208 0.287 0.905
Te14 0.792 0.713 0.095
I1 0.391 0.875 0.369
I2 0.609 0.125 0.631
I3 0.982 0.596 0.355
I4 0.018 0.404 0.645
I5 0.360 0.689 0.058
I6 0.640 0.311 0.942
I7 0.703 0.548 0.624
I8 0.297 0.452 0.376
I9 0.144 0.828 0.611
I10 0.856 0.172 0.389
I11 0.288 0.231 0.623
I12 0.712 0.769 0.377
I13 0.434 0.693 0.657
I14 0.566 0.307 0.343

Values from the calculation:
Crystal system: triclinic
MP2020-corrected energy: -4.43 eV/atom
Symmetry: P-1